A relaxed structure of Li4Y3ZrO8, computed with PBE.

Cell and atoms, written as CIF:
```
data_Li4Y3ZrO8
_chemical_formula_sum 'Li8 Y6 Zr2 O16'
_cell_length_a 6.348
_cell_length_b 9.672
_cell_length_c 6.360
_cell_angle_alpha 90.00
_cell_angle_beta 90.00
_cell_angle_gamma 90.00
_space_group_name_H-M_alt 'C 2 2 2'
_space_group_IT_number 21
_space_group_name_Hall 'C 2 2'
loop_
_atom_site_label
_atom_site_fract_x
_atom_site_fract_y
_atom_site_fract_z
Li1 0.000 0.000 0.000
Li2 0.000 0.500 0.500
Li3 0.250 0.250 0.245
Y1 0.000 0.500 0.000
Y2 0.250 0.250 0.748
Zr1 0.000 0.000 0.500
O1 0.000 0.230 0.500
O2 0.000 0.261 0.000
O3 0.245 0.006 0.741
```

## Properties
Raw total energy in eV per atom: -7.4747
M_tot in μB per cell: 0.0
Crystal system: orthorhombic

=====

A relaxed structure of Na2Ga4Si3Sn4S9O48, computed with PBE.

Cell and atoms, written as CIF:
```
data_Na2Ga4Si3Sn4S9O48
_chemical_formula_sum 'Na6 Ga12 Si9 Sn12 S27 O144'
_cell_length_a 8.685
_cell_length_b 14.984
_cell_length_c 22.650
_cell_angle_alpha 90.17
_cell_angle_beta 90.36
_cell_angle_gamma 90.03
_space_group_name_H-M_alt 'P 1'
_space_group_IT_number 1
_space_group_name_Hall 'P 1'
loop_
_atom_site_label
_atom_site_fract_x
_atom_site_fract_y
_atom_site_fract_z
Na1 0.000 0.000 0.000
Na2 0.002 0.001 0.508
Na3 0.014 0.666 0.340
Na4 0.497 0.167 0.836
Na5 0.506 0.492 0.504
Na6 0.508 0.498 0.007
Ga1 0.001 0.673 0.493
Ga2 0.003 0.001 0.857
Ga3 0.018 0.666 0.196
Ga4 0.472 0.172 0.692
Ga5 0.502 0.501 0.362
Ga6 0.508 0.175 0.991
Ga7 0.509 0.506 0.854
Ga8 0.513 0.836 0.532
Ga9 0.523 0.840 0.021
Ga10 0.994 0.334 0.030
Ga11 0.999 0.009 0.359
Ga12 0.999 0.337 0.528
Si1 0.154 0.141 0.760
Si2 0.346 0.317 0.591
Si3 0.359 0.643 0.259
Si4 0.649 0.645 0.758
Si5 0.652 0.317 0.087
Si6 0.715 0.342 0.426
Si7 0.801 0.844 0.924
Si8 0.859 0.817 0.586
Si9 0.861 0.148 0.259
Sn1 0.003 0.003 0.654
Sn2 0.004 0.006 0.157
Sn3 0.008 0.330 0.819
Sn4 0.503 0.831 0.321
Sn5 0.504 0.502 0.653
Sn6 0.507 0.501 0.156
Sn7 0.511 0.181 0.487
Sn8 0.517 0.832 0.818
Sn9 0.520 0.174 0.195
Sn10 0.989 0.674 0.694
Sn11 0.996 0.332 0.322
Sn12 0.999 0.674 0.985
S1 0.145 0.525 0.088
S2 0.149 0.486 0.425
S3 0.150 0.186 0.425
S4 0.153 0.857 0.759
S5 0.158 0.816 0.091
S6 0.211 0.838 0.425
S7 0.213 0.504 0.759
S8 0.217 0.169 0.088
S9 0.292 0.672 0.588
S10 0.296 0.004 0.258
S11 0.298 0.338 0.926
S12 0.355 0.358 0.259
S13 0.362 0.984 0.926
S14 0.363 0.688 0.926
S15 0.364 0.024 0.588
S16 0.646 0.021 0.088
S17 0.648 0.355 0.760
S18 0.651 0.980 0.424
S19 0.654 0.691 0.426
S20 0.710 0.008 0.757
S21 0.716 0.673 0.092
S22 0.792 0.171 0.592
S23 0.800 0.506 0.258
S24 0.856 0.191 0.926
S25 0.858 0.478 0.924
S26 0.863 0.856 0.258
S27 0.864 0.524 0.588
O1 0.074 0.105 0.699
O2 0.074 0.565 0.141
O3 0.075 0.577 0.432
O4 0.076 0.895 0.811
O5 0.077 0.096 0.418
O6 0.077 0.241 0.764
O7 0.078 0.227 0.476
O8 0.079 0.436 0.079
O9 0.079 0.780 0.037
O10 0.082 0.449 0.369
O11 0.082 0.908 0.097
O12 0.092 0.766 0.752
O13 0.109 0.427 0.766
O14 0.113 0.919 0.417
O15 0.116 0.756 0.429
O16 0.117 0.086 0.092
O17 0.120 0.082 0.818
O18 0.122 0.249 0.080
O19 0.123 0.430 0.477
O20 0.124 0.583 0.035
O21 0.124 0.587 0.750
O22 0.126 0.762 0.144
O23 0.132 0.909 0.704
O24 0.134 0.241 0.370
O25 0.165 0.327 0.577
O26 0.172 0.656 0.251
O27 0.187 0.353 0.267
O28 0.194 0.016 0.593
O29 0.194 0.677 0.933
O30 0.194 0.994 0.921
O31 0.196 0.652 0.535
O32 0.200 0.016 0.311
O33 0.200 0.352 0.978
O34 0.203 0.684 0.643
O35 0.204 0.323 0.871
O36 0.206 0.981 0.203
O37 0.303 0.823 0.370
O38 0.304 0.483 0.706
O39 0.305 0.181 0.144
O40 0.307 0.517 0.813
O41 0.310 0.853 0.477
O42 0.313 0.151 0.036
O43 0.315 0.518 0.094
O44 0.318 0.172 0.430
O45 0.318 0.496 0.419
O46 0.322 0.854 0.767
O47 0.323 0.826 0.082
O48 0.341 0.151 0.755
O49 0.375 0.409 0.203
O50 0.378 0.744 0.872
O51 0.383 0.259 0.649
O52 0.384 0.086 0.248
O53 0.384 0.753 0.580
O54 0.387 0.079 0.534
O55 0.387 0.927 0.980
O56 0.392 0.255 0.930
O57 0.392 0.582 0.316
O58 0.394 0.592 0.592
O59 0.396 0.418 0.918
O60 0.401 0.926 0.265
O61 0.417 0.266 0.252
O62 0.428 0.934 0.580
O63 0.430 0.946 0.872
O64 0.431 0.730 0.980
O65 0.432 0.416 0.596
O66 0.433 0.599 0.920
O67 0.434 0.743 0.264
O68 0.435 0.397 0.310
O69 0.436 0.061 0.642
O70 0.436 0.281 0.532
O71 0.436 0.606 0.197
O72 0.438 0.074 0.934
O73 0.562 0.741 0.760
O74 0.565 0.274 0.030
O75 0.569 0.417 0.094
O76 0.569 0.604 0.698
O77 0.572 0.933 0.082
O78 0.573 0.394 0.813
O79 0.579 0.068 0.431
O80 0.579 0.604 0.418
O81 0.579 0.735 0.477
O82 0.580 0.059 0.143
O83 0.581 0.942 0.368
O84 0.586 0.265 0.753
O85 0.605 0.431 0.417
O86 0.605 0.930 0.763
O87 0.614 0.250 0.427
O88 0.618 0.592 0.095
O89 0.619 0.752 0.083
O90 0.620 0.090 0.748
O91 0.622 0.922 0.475
O92 0.624 0.078 0.036
O93 0.624 0.586 0.817
O94 0.627 0.410 0.706
O95 0.628 0.260 0.147
O96 0.639 0.747 0.371
O97 0.674 0.150 0.255
O98 0.676 0.827 0.579
O99 0.686 0.181 0.931
O100 0.688 0.486 0.918
O101 0.693 0.518 0.593
O102 0.694 0.852 0.265
O103 0.696 0.180 0.645
O104 0.697 0.821 0.867
O105 0.701 0.147 0.537
O106 0.702 0.860 0.984
O107 0.705 0.521 0.309
O108 0.711 0.486 0.202
O109 0.803 0.985 0.704
O110 0.805 0.020 0.811
O111 0.810 0.323 0.365
O112 0.810 0.652 0.038
O113 0.816 0.685 0.144
O114 0.818 0.354 0.767
O115 0.819 0.010 0.093
O116 0.822 0.986 0.418
O117 0.823 0.680 0.432
O118 0.825 0.356 0.483
O119 0.835 0.328 0.079
O120 0.836 0.651 0.754
O121 0.872 0.248 0.872
O122 0.882 0.761 0.647
O123 0.883 0.909 0.203
O124 0.886 0.250 0.584
O125 0.888 0.083 0.315
O126 0.888 0.580 0.536
O127 0.889 0.424 0.976
O128 0.890 0.590 0.249
O129 0.895 0.090 0.595
O130 0.905 0.754 0.930
O131 0.907 0.430 0.263
O132 0.911 0.931 0.915
O133 0.928 0.440 0.869
O134 0.928 0.766 0.250
O135 0.930 0.104 0.919
O136 0.931 0.233 0.978
O137 0.931 0.567 0.930
O138 0.932 0.435 0.583
O139 0.935 0.561 0.643
O140 0.939 0.111 0.197
O141 0.939 0.895 0.311
O142 0.942 0.916 0.594
O143 0.945 0.775 0.529
O144 0.946 0.244 0.261
```

## Properties
Raw total energy in eV per atom: -6.1943
M_tot in μB per cell: 0.0
Crystal system: triclinic

=====

A relaxed structure of ThGe12Pt4, computed with PBE.

Cell and atoms, written as CIF:
```
data_ThGe12Pt4
_chemical_formula_sum 'Th2 Ge24 Pt8'
_cell_length_a 8.730
_cell_length_b 8.730
_cell_length_c 8.730
_cell_angle_alpha 90.00
_cell_angle_beta 90.00
_cell_angle_gamma 90.00
_space_group_name_H-M_alt 'I m -3'
_space_group_IT_number 204
_space_group_name_Hall '-I 2 2 3'
loop_
_atom_site_label
_atom_site_fract_x
_atom_site_fract_y
_atom_site_fract_z
Th1 0.000 0.000 0.000
Ge1 0.000 0.354 0.152
Pt1 0.250 0.250 0.250
```

## Properties
Raw total energy in eV per atom: -5.5161
M_tot in μB per cell: 0.0
Crystal system: cubic

=====

A relaxed structure of Y2Co3N4, computed with PBE.

Cell and atoms, written as CIF:
```
data_Y2Co3N4
_chemical_formula_sum 'Y8 Co12 N16'
_cell_length_a 8.314
_cell_length_b 7.926
_cell_length_c 6.598
_cell_angle_alpha 90.00
_cell_angle_beta 100.57
_cell_angle_gamma 90.00
_space_group_name_H-M_alt 'C 1 2/c 1'
_space_group_IT_number 15
_space_group_name_Hall '-C 2yc'
loop_
_atom_site_label
_atom_site_fract_x
_atom_site_fract_y
_atom_site_fract_z
Y1 0.164 0.121 0.161
Co1 0.000 0.245 0.750
Co2 0.109 0.381 0.464
N1 0.102 0.380 0.979
N2 0.129 0.150 0.537
```

## Properties
Raw total energy in eV per atom: -7.9787
M_tot in μB per cell: 0.9
Crystal system: monoclinic

=====

A relaxed structure of Rb2GeF6, computed with PBE.

Cell and atoms, written as CIF:
```
data_Rb2GeF6
_chemical_formula_sum 'Rb8 Ge4 F24'
_cell_length_a 8.730
_cell_length_b 8.730
_cell_length_c 8.730
_cell_angle_alpha 90.00
_cell_angle_beta 90.00
_cell_angle_gamma 90.00
_space_group_name_H-M_alt 'F m -3 m'
_space_group_IT_number 225
_space_group_name_Hall '-F 4 2 3'
loop_
_atom_site_label
_atom_site_fract_x
_atom_site_fract_y
_atom_site_fract_z
Rb1 0.250 0.250 0.250
Ge1 0.000 0.000 0.000
F1 0.000 0.000 0.210
```

## Properties
Offset from the most stable computed form in meV/atom: 0.0
Raw total energy in eV per atom: -4.7426
Crystal system: cubic

=====

A relaxed structure of Y11Ge10, computed with PBE.

Cell and atoms, written as CIF:
```
data_Y11Ge10
_chemical_formula_sum 'Y44 Ge40'
_cell_length_a 10.965
_cell_length_b 10.965
_cell_length_c 16.506
_cell_angle_alpha 90.00
_cell_angle_beta 90.00
_cell_angle_gamma 90.00
_space_group_name_H-M_alt 'I 4/m m m'
_space_group_IT_number 139
_space_group_name_Hall '-I 4 2'
loop_
_atom_site_label
_atom_site_fract_x
_atom_site_fract_y
_atom_site_fract_z
Y1 0.000 0.000 0.160
Y2 0.000 0.252 0.310
Y3 0.000 0.324 0.103
Y4 0.177 0.177 0.500
Ge1 0.000 0.000 0.387
Ge2 0.000 0.361 0.500
Ge3 0.000 0.500 0.250
Ge4 0.120 0.120 0.000
Ge5 0.210 0.210 0.182
```

## Properties
Raw total energy in eV per atom: -6.4632
M_tot in μB per cell: 0.0
Crystal system: tetragonal

=====

A relaxed structure of YCu3S6, computed with PBE.

Cell and atoms, written as CIF:
```
data_YCu3S6
_chemical_formula_sum 'Y4 Cu12 S24'
_cell_length_a 6.737
_cell_length_b 8.524
_cell_length_c 14.343
_cell_angle_alpha 90.00
_cell_angle_beta 90.00
_cell_angle_gamma 90.00
_space_group_name_H-M_alt 'P 21 21 21'
_space_group_IT_number 19
_space_group_name_Hall 'P 2ac 2ab'
loop_
_atom_site_label
_atom_site_fract_x
_atom_site_fract_y
_atom_site_fract_z
Y1 0.005 0.047 0.070
Cu1 0.007 0.486 0.659
Cu2 0.114 0.186 0.691
Cu3 0.132 0.786 0.682
S1 0.181 0.788 0.527
S2 0.214 0.366 0.806
S3 0.215 0.013 0.266
S4 0.217 0.195 0.541
S5 0.225 0.615 0.804
S6 0.240 0.559 0.061
```

## Properties
Raw total energy in eV per atom: -4.7536
M_tot in μB per cell: 0.0
Crystal system: orthorhombic

=====

A relaxed structure of Sr3Sn, computed with PBE.

Cell and atoms, written as CIF:
```
data_Sr3Sn
_chemical_formula_sum 'Sr3 Sn1'
_cell_length_a 5.366
_cell_length_b 5.366
_cell_length_c 5.366
_cell_angle_alpha 90.00
_cell_angle_beta 90.00
_cell_angle_gamma 90.00
_space_group_name_H-M_alt 'P m -3 m'
_space_group_IT_number 221
_space_group_name_Hall '-P 4 2 3'
loop_
_atom_site_label
_atom_site_fract_x
_atom_site_fract_y
_atom_site_fract_z
Sr1 0.000 0.000 0.500
Sn1 0.500 0.500 0.500
```

## Properties
Raw total energy in eV per atom: -2.6229
M_tot in μB per cell: 0.0
Crystal system: cubic

=====

A relaxed structure of CaGaH4, computed with PBE.

Cell and atoms, written as CIF:
```
data_CaGaH4
_chemical_formula_sum 'Ca2 Ga2 H8'
_cell_length_a 6.593
_cell_length_b 4.344
_cell_length_c 6.719
_cell_angle_alpha 90.00
_cell_angle_beta 100.54
_cell_angle_gamma 90.00
_space_group_name_H-M_alt 'P 1 21 1'
_space_group_IT_number 4
_space_group_name_Hall 'P 2yb'
loop_
_atom_site_label
_atom_site_fract_x
_atom_site_fract_y
_atom_site_fract_z
Ca1 0.180 0.000 0.182
Ga1 0.285 0.761 0.707
H1 0.083 0.551 0.637
H2 0.255 0.030 0.861
H3 0.329 0.931 0.506
H4 0.477 0.545 0.792
```

## Properties
Raw total energy in eV per atom: -3.0899
M_tot in μB per cell: 0.1
Crystal system: monoclinic

=====

| no. | formation energy from the elements (eV per atom) | ρ (g cm⁻³) |
| --- | --- | --- |
| 1 | -3.1203 | 4.37 |
| 2 | -2.0683 | 3.28 |
| 3 | -0.3881 | 9.41 |
| 4 | -0.6276 | 6.38 |
| 5 | -3.0427 | 3.57 |
| 6 | -0.8746 | 5.70 |
| 7 | -0.6971 | 3.81 |
| 8 | -0.3533 | 4.10 |
| 9 | -0.1084 | 2.00 |